Here is Ni2Sn4Au after structural relaxation from the Materials Project. Energies are from meta-GGA r2SCAN.

E_tot	-174.8	eV/f.u.
formation energy from the elements	-0.18	eV per atom
SG	No. 166

Geometry as POSCAR:
```
Ni2Sn4Au
1.0
2.120 1.224 8.874
-2.120 1.224 8.874
0.000 -2.448 8.874
Ni Sn Au
2 4 1
direct
0.099 0.099 0.099 Ni
0.901 0.901 0.901 Ni
0.200 0.200 0.200 Sn
0.389 0.389 0.389 Sn
0.611 0.611 0.611 Sn
0.800 0.800 0.800 Sn
0.000 0.000 0.000 Au
```